<A>
Computed, not measured: a relaxed Li3TiFe3O8 crystal at the PBE+U level of DFT.

Calculated values
Volume, A^3/atom: 9.72

The structure in POSCAR format:
```
Li3TiFe3O8
1.0
2.9592 -5.1255 0.0000
2.9592 5.1255 0.0000
0.0000 0.0000 9.6166
O Fe Ti Li
16 6 2 6
Cartesian
4.2771 2.4694 6.2906 O
1.4860 -0.8579 8.7430 O
1.4860 0.8579 3.9347 O
2.9592 -1.7085 3.8919 O
1.6414 -2.4694 1.4823 O
1.6414 2.4694 6.2906 O
2.9592 1.7085 8.7002 O
0.0000 0.0000 6.5132 O
2.9592 -3.4096 8.7430 O
4.4324 0.8579 3.9347 O
4.4324 -0.8579 8.7430 O
0.0000 0.0000 1.7049 O
4.2771 -2.4694 1.4823 O
2.9592 -0.1868 1.4823 O
2.9592 3.4096 3.9347 O
2.9592 0.1868 6.2906 O
2.9592 -3.3883 2.7392 Fe
1.5044 -0.8686 2.7392 Fe
2.9592 3.3883 7.5475 Fe
4.4140 -0.8686 2.7392 Fe
4.4140 0.8686 7.5475 Fe
1.5044 0.8686 7.5475 Fe
2.9592 -1.7085 0.0250 Ti
2.9592 1.7085 4.8333 Ti
1.5626 0.9022 0.5610 Li
4.3559 0.9022 0.5610 Li
2.9592 3.3212 0.5610 Li
1.5626 -0.9022 5.3693 Li
4.3559 -0.9022 5.3693 Li
2.9592 -3.3212 5.3693 Li
```

---

<B>
Computed, not measured: a relaxed Li3TiFe3O8 crystal at the PBE+U level of DFT.

Calculated values
Volume, A^3/atom: 12.70

The structure in POSCAR format:
```
Li3TiFe3O8
1.0
-0.5993 5.0358 -2.4205
-5.2004 -2.2457 -3.4034
-6.2473 2.9110 7.6002
O Fe Ti Li
16 6 2 6
Cartesian
-7.0641 3.1447 0.8045 O
-9.0280 5.4176 1.6985 O
-9.7245 2.4106 2.2201 O
-5.3280 1.1667 2.6450 O
-8.2179 0.0061 1.1429 O
-3.9367 1.6873 -2.9923 O
-3.1076 5.5150 -0.2675 O
-6.1359 6.8356 3.6370 O
-4.5243 4.2787 2.3486 O
-1.2768 2.7782 -1.5714 O
-7.3807 3.8056 3.7988 O
-5.8126 4.0084 -2.1091 O
-5.1012 -1.4294 -2.6768 O
-4.2978 2.1450 0.0244 O
-6.5456 0.9505 -1.4779 O
-2.3014 -0.2192 -1.0197 O
-4.3719 5.7587 1.1605 Fe
-5.3169 2.7077 1.5337 Fe
-8.2744 3.7229 2.1742 Fe
-1.2420 4.3028 -2.6505 Fe
-2.1947 1.2608 -2.2595 Fe
-5.1507 2.2582 -1.6234 Fe
-9.2862 0.6301 2.5347 Ti
-6.1671 -0.8143 -1.2791 Ti
-3.7632 3.2263 -4.3016 Li
-7.9497 1.6341 -0.2097 Li
-4.8457 0.1976 -3.9765 Li
-5.7327 4.8305 3.8831 Li
-3.5854 0.3548 0.4475 Li
-6.9236 4.6932 -0.4765 Li
```

---

Which structure is the most stable? The one labeled <A>.